Entry 1:
Bi15AsO25 | PBE-GGA | optimized geometry Values from VASP.

The structure in Quantum ESPRESSO input format:
```
&SYSTEM
  ibrav = 0, nat = 164, ntyp = 3
/
ATOMIC_SPECIES
Bi 208.98 Bi.upf
As 74.92 As.upf
O 16.00 O.upf
CELL_PARAMETERS angstrom
7.351 4.244 15.008
-7.351 4.244 15.008
0.000 -8.488 15.008
ATOMIC_POSITIONS angstrom
Bi -5.913 2.160 15.018
Bi -2.516 -0.308 9.084
Bi -5.139 -4.203 24.018
Bi -3.598 -3.830 19.090
Bi -3.507 -0.593 14.409
Bi -1.144 -6.570 17.980
Bi -2.158 -5.521 22.173
Bi -0.949 -1.992 12.294
Bi -1.306 -3.302 15.977
Bi -6.223 -0.678 26.415
Bi 1.086 -6.201 15.018
Bi -4.772 1.390 20.387
Bi -5.118 4.276 17.980
Bi -3.704 -3.794 28.189
Bi 1.525 -2.024 9.084
Bi -2.257 -0.202 18.006
Bi -3.654 -0.823 23.496
Bi -1.250 1.818 12.294
Bi -2.207 2.782 15.977
Bi -1.076 -1.929 21.076
Bi -1.486 -3.475 25.216
Bi 1.182 -4.827 20.387
Bi 0.991 2.333 9.084
Bi 2.267 -2.741 14.409
Bi 1.303 -1.854 18.006
Bi -2.573 -0.218 27.118
Bi -3.702 4.629 22.173
Bi 2.200 0.174 12.294
Bi -3.727 -0.752 32.468
Bi -1.133 1.896 21.076
Bi -1.518 5.031 19.090
Bi -0.993 -1.985 30.016
Bi -2.266 3.025 25.216
Bi 1.241 3.334 14.409
Bi 0.954 2.056 18.006
Bi 2.539 -2.753 23.496
Bi 3.513 0.520 15.977
Bi -2.545 -0.246 36.014
Bi 1.475 -2.119 27.118
Bi 2.209 0.033 21.076
Bi 3.699 -5.051 26.415
Bi -1.222 1.853 30.016
Bi -1.071 6.552 24.018
Bi 5.116 -1.201 19.090
Bi -1.433 5.105 28.189
Bi 1.114 3.576 23.496
Bi 1.098 2.337 27.118
Bi 2.515 -2.852 32.468
Bi 1.486 -2.081 36.014
Bi 4.827 4.041 15.018
Bi 2.215 0.132 30.016
Bi 3.590 3.437 20.386
Bi 3.753 0.451 25.216
Bi 6.209 -2.349 24.018
Bi 6.262 2.295 17.980
Bi 5.138 -1.311 28.189
Bi 5.860 0.892 22.173
Bi 1.213 3.604 32.468
Bi 1.059 2.328 36.014
Bi 2.524 5.729 26.415
As 0.000 0.000 6.149
As 0.000 0.000 24.204
As 0.000 0.000 33.172
As 0.000 0.000 42.180
O -6.510 1.553 17.471
O -1.836 -2.103 9.935
O -2.711 -4.711 17.410
O -5.937 -3.424 26.587
O 0.000 0.000 2.545
O -0.030 -1.639 5.581
O -1.404 0.845 5.581
O -0.834 -5.943 15.877
O -4.579 0.585 15.821
O -5.428 -2.164 23.502
O -4.581 -0.525 18.872
O -2.799 0.602 11.493
O 0.000 -5.229 13.315
O -4.529 2.614 13.315
O -5.540 0.003 21.796
O -2.705 -1.566 16.276
O -1.901 -4.299 20.449
O 0.000 0.000 7.894
O -4.730 3.694 15.877
O -2.651 -3.750 23.450
O 0.878 -2.725 11.493
O -2.857 -4.673 26.454
O -1.769 -2.032 18.971
O -2.011 1.158 14.340
O 0.002 -2.321 14.340
O 1.434 0.794 5.581
O -4.566 0.546 24.838
O -0.903 2.641 9.935
O 0.000 0.000 11.867
O 1.910 -6.414 17.471
O -4.637 -0.613 27.819
O -2.714 0.597 20.522
O -4.420 2.533 22.358
O 0.016 -5.094 22.358
O -2.934 -1.702 25.393
O 1.783 -4.258 15.821
O -1.927 -4.321 29.397
O 2.739 -0.538 9.935
O -2.724 4.703 17.410
O 0.000 0.000 17.629
O 0.840 -2.649 20.522
O -2.773 3.795 20.449
O -1.831 -2.026 27.955
O -1.428 0.798 23.606
O 2.745 -3.704 18.872
O 0.000 0.000 20.709
O 0.022 -1.636 23.606
O -0.875 2.548 18.971
O 1.921 2.122 11.493
O 2.767 -4.800 21.796
O 2.708 -1.560 16.276
O -0.003 3.126 16.276
O -2.794 0.593 29.416
O -2.919 -1.696 34.365
O 2.009 1.162 14.340
O 1.810 -4.227 24.838
O -1.922 4.171 23.450
O 0.000 0.000 25.927
O 2.645 -0.516 18.971
O -2.618 4.811 26.454
O 0.884 -2.716 29.416
O -2.778 3.830 29.397
O -1.805 -2.007 36.958
O 1.405 0.837 23.606
O 0.000 0.000 29.596
O -1.423 0.813 32.601
O 0.007 -1.639 32.601
O 1.874 2.052 20.522
O 2.849 -3.709 27.819
O -0.838 2.599 27.955
O 2.796 3.673 15.821
O 4.588 -3.619 23.502
O -0.007 3.392 25.393
O 2.941 -1.690 25.393
O 4.529 2.615 13.315
O 1.835 4.230 18.872
O 5.435 0.008 17.410
O 0.000 0.000 34.907
O 2.670 -0.573 27.955
O 4.673 0.503 20.449
O 0.840 5.782 23.502
O 4.573 -0.421 23.450
O 5.564 2.249 15.877
O 1.416 0.826 32.601
O 0.000 0.000 38.610
O 5.934 -3.430 26.587
O 0.003 6.854 26.587
O 2.773 4.797 21.796
O -0.835 2.567 36.958
O 1.910 2.123 29.416
O 2.756 3.682 24.838
O 4.600 4.861 17.471
O -0.010 3.376 34.365
O 2.929 -1.680 34.365
O 4.403 2.561 22.358
O 1.787 4.322 27.819
O 5.476 -0.138 26.454
O 0.000 0.000 43.911
O 2.641 -0.560 36.958
O 4.706 0.491 29.397
```

Properties
**Crystal system**: trigonal
**Magnetization**: 0.00 μB/f.u.
**SG**: R3 (146)

---

Entry 2:
BaMg14Sb | PBE-GGA | optimized geometry Values from VASP.

The structure in Quantum ESPRESSO input format:
```
&SYSTEM
  ibrav = 0, nat = 16, ntyp = 3
/
ATOMIC_SPECIES
Ba 137.33 Ba.upf
Mg 24.30 Mg.upf
Sb 121.76 Sb.upf
CELL_PARAMETERS angstrom
6.584 0.000 0.000
-3.292 5.702 0.000
0.000 0.000 10.728
ATOMIC_POSITIONS angstrom
Ba 0.000 0.000 0.000
Mg -1.586 2.886 0.000
Mg 0.000 1.963 2.824
Mg 0.000 1.963 7.903
Mg -1.592 4.720 2.824
Mg -1.592 4.720 7.903
Mg 1.586 2.886 0.000
Mg 0.000 5.632 0.000
Mg 3.292 0.044 5.364
Mg 1.684 2.829 5.364
Mg 1.592 4.720 2.824
Mg 1.592 4.720 7.903
Mg 3.292 1.901 2.603
Mg 3.292 1.901 8.124
Mg 4.900 2.829 5.364
Sb 0.000 0.000 5.364
```

Properties
**E above lowest polymorph**: 55 meV per atom
**Crystal system**: hexagonal
**Magnetization**: 0.00 μB/f.u.
**SG**: P-6m2 (187)

---

Entry 3:
In2O3 | PBE-GGA | optimized geometry Values from VASP.

The structure in Quantum ESPRESSO input format:
```
&SYSTEM
  ibrav = 0, nat = 40, ntyp = 2
/
ATOMIC_SPECIES
In 114.82 In.upf
O 16.00 O.upf
CELL_PARAMETERS angstrom
5.590 0.000 0.000
0.000 5.776 0.000
0.000 0.000 16.135
ATOMIC_POSITIONS angstrom
In 0.008 1.198 1.131
In 0.008 1.690 9.199
In 0.006 4.264 10.996
In 0.006 4.399 2.928
In 2.789 1.376 10.996
In 2.789 1.512 2.928
In 2.787 4.086 1.131
In 2.787 4.578 9.199
In 2.803 1.198 6.937
In 2.803 1.690 15.004
In 2.801 4.264 13.207
In 2.801 4.399 5.139
In 5.584 1.376 13.207
In 5.584 1.512 5.139
In 5.582 4.086 6.937
In 5.582 4.578 15.004
O 0.777 3.624 4.810
O 0.777 5.039 12.877
O 0.832 0.890 15.287
O 0.832 1.998 7.219
O 1.152 0.105 10.063
O 1.152 2.783 1.996
O 1.643 2.993 10.063
O 1.643 5.670 1.996
O 1.963 3.778 15.287
O 1.963 4.886 7.219
O 2.018 0.736 4.810
O 2.018 2.152 12.877
O 3.572 3.624 3.258
O 3.572 5.039 11.326
O 3.626 0.890 8.916
O 3.626 1.998 0.848
O 3.946 0.105 14.140
O 3.946 2.783 6.072
O 4.438 2.993 14.140
O 4.438 5.670 6.072
O 4.758 3.778 8.916
O 4.758 4.886 0.848
O 4.813 0.736 3.258
O 4.813 2.152 11.326
```

Properties
**Crystal system**: orthorhombic
**SG**: Pbca (61)

---

Entry 4:
Nd2Co23B3 | PBE-GGA | optimized geometry Values from VASP.

The structure in Quantum ESPRESSO input format:
```
&SYSTEM
  ibrav = 0, nat = 112, ntyp = 3
/
ATOMIC_SPECIES
Nd 144.24 Nd.upf
Co 58.93 Co.upf
B 10.81 B.upf
CELL_PARAMETERS angstrom
-6.881 6.881 6.881
6.881 -6.881 6.881
6.881 6.881 -6.881
ATOMIC_POSITIONS angstrom
Nd 6.096 0.785 -0.785
Nd 9.536 -2.655 2.655
Nd 0.785 0.785 0.785
Nd 0.785 -0.785 6.096
Nd -0.785 6.096 0.785
Nd 2.655 9.536 -2.655
Nd 4.225 4.225 4.225
Nd -2.655 2.655 9.536
Co 4.367 2.514 -2.514
Co 7.807 -0.926 0.926
Co 5.977 -5.104 5.199
Co 9.095 0.887 -0.210
Co 8.545 -4.345 5.123
Co 5.199 5.977 -5.104
Co 6.574 -2.003 2.965
Co 11.548 0.887 0.210
Co 6.881 3.440 -2.322
Co 10.531 2.554 -1.226
Co 7.357 5.444 -3.747
Co 2.514 -2.514 4.367
Co 3.747 0.476 1.437
Co 4.327 -1.226 3.230
Co 9.846 0.307 2.003
Co 3.440 2.322 0.000
Co 5.994 0.210 2.214
Co 5.217 -2.536 5.123
Co 8.318 3.134 -0.476
Co 5.123 5.217 -2.536
Co 3.230 4.327 -1.226
Co 5.444 3.747 -0.476
Co 7.785 -1.777 5.199
Co 2.322 0.000 3.440
Co 7.999 0.000 3.440
Co 7.785 1.777 1.682
Co 5.444 -3.747 7.357
Co 10.111 2.554 1.226
Co 5.123 8.545 -4.345
Co 1.437 3.747 0.476
Co 5.217 2.536 1.758
Co 5.994 -0.210 4.667
Co 3.440 -2.322 6.881
Co 2.965 6.574 -2.003
Co 4.327 1.226 3.651
Co 3.747 -0.476 5.444
Co 2.514 2.514 2.514
Co 0.476 1.437 3.747
Co 3.651 4.327 1.226
Co 0.000 3.440 2.322
Co 4.667 5.994 -0.210
Co 6.574 2.003 3.916
Co 5.199 7.785 -1.777
Co 8.545 4.345 1.758
Co 2.214 5.994 0.210
Co 5.977 5.104 1.682
Co -2.514 4.367 2.514
Co 0.926 7.807 -0.926
Co 2.536 1.758 5.217
Co -1.226 3.230 4.327
Co 5.104 1.682 5.977
Co 1.758 5.217 2.536
Co 3.134 -0.476 8.318
Co 1.226 3.651 4.327
Co 3.440 7.999 0.000
Co 0.210 2.214 5.994
Co 3.916 6.574 2.003
Co -0.926 0.926 7.807
Co 7.188 4.878 3.916
Co 0.887 -0.210 9.095
Co -0.476 5.444 3.747
Co 6.881 3.440 5.763
Co 2.554 -1.226 10.531
Co 1.777 1.682 7.785
Co -2.003 2.965 6.574
Co 1.682 7.785 1.777
Co -0.210 9.095 0.887
Co 2.003 9.846 0.307
Co 4.345 1.758 8.545
Co -2.322 6.881 3.440
Co 5.763 6.881 3.440
Co -2.536 5.123 5.217
Co 2.003 3.916 6.574
Co -0.210 4.667 5.994
Co 1.682 5.977 5.104
Co 4.878 3.916 7.188
Co -5.104 5.199 5.977
Co 2.554 1.226 10.111
Co 0.000 3.440 7.999
Co -0.476 8.318 3.134
Co 0.887 0.210 11.548
Co 0.307 2.003 9.846
Co 5.955 5.955 5.955
Co 3.916 7.188 4.878
Co 0.210 11.548 0.887
Co 3.440 5.763 6.881
Co 1.226 10.111 2.554
Co -3.747 7.357 5.444
Co 1.758 8.545 4.345
Co -1.777 5.199 7.785
Co -1.226 10.531 2.554
Co -4.345 5.123 8.545
B 6.881 -3.440 4.285
B 6.881 -3.440 6.037
B 4.285 6.881 -3.440
B 6.037 6.881 -3.440
B 6.881 3.440 0.844
B 6.881 3.440 2.596
B 3.440 0.844 6.881
B 3.440 2.596 6.881
B 0.844 6.881 3.440
B 2.596 6.881 3.440
B -3.440 4.285 6.881
B -3.440 6.037 6.881
```

Properties
**Crystal system**: cubic
**Magnetization**: 30.70 μB/f.u.
**SG**: I-43d (220)

---

no.,energy of formation (eV/atom)
1,-1.6618
2,0.0328
3,-1.9552
4,-0.1243